(1)
DFT (GGA+U) results for a geometry-optimized Li2Fe2Si3O9 structure.

Calculated values
The calculation puts the formation enthalpy at 0 K at -2.6265 eV per atom. The value obtained for the uncorrected energy is -7.056 eV/atom. As for the MP2020-corrected energy: -0.2839 hartree per atom.

Geometry as CIF:
```
data_Li2Fe2Si3O9
_chemical_formula_sum 'Li8 Fe8 Si12 O36'
_space_group_name_H-M_alt 'P n m a'
_space_group_IT_number 62
_space_group_name_Hall '-P 2ac 2n'
_cell_length_a 12.3898
_cell_length_b 9.6545
_cell_length_c 6.2809
_cell_angle_alpha 90.00
_cell_angle_beta 90.00
_cell_angle_gamma 90.00
loop_
_atom_site_label
_atom_site_type_symbol
_atom_site_fract_x
_atom_site_fract_y
_atom_site_fract_z
Li1 Li 0.0840 0.0589 0.1486
Fe1 Fe 0.1638 0.0024 0.7017
Si1 Si 0.0360 0.2500 0.5349
Si2 Si 0.0812 0.7500 0.0359
Si3 Si 0.2144 0.7500 0.4328
O1 O 0.0249 0.2500 0.7997
O2 O 0.0724 0.6026 0.9144
O3 O 0.0934 0.7500 0.5394
O4 O 0.0957 0.1088 0.4588
O5 O 0.1967 0.7500 0.1722
O6 O 0.2258 0.1047 0.9976
```


(2)
DFT (GGA+U) results for a geometry-optimized Li3Mn4B4O12 structure.

Calculated values
The calculation puts the formation enthalpy at 0 K at -2.4592 eV per atom. The value obtained for the uncorrected energy is -7.396 eV/atom. As for the MP2020-corrected energy: -0.2956 hartree per atom.

Geometry as CIF:
```
data_Li3Mn4B4O12
_chemical_formula_sum 'Li6 Mn8 B8 O24'
_space_group_name_H-M_alt 'P -1'
_space_group_IT_number 2
_space_group_name_Hall '-P 1'
_cell_length_a 6.1762
_cell_length_b 9.3553
_cell_length_c 9.6606
_cell_angle_alpha 66.77
_cell_angle_beta 80.27
_cell_angle_gamma 83.24
loop_
_atom_site_label
_atom_site_type_symbol
_atom_site_fract_x
_atom_site_fract_y
_atom_site_fract_z
Li1 Li 0.0230 0.3498 0.2834
Li2 Li 0.4639 0.1284 0.7186
Li3 Li 0.4691 0.6293 0.2174
Mn1 Mn 0.2380 0.9560 0.0558
Mn2 Mn 0.2428 0.4523 0.5498
Mn3 Mn 0.2524 0.0455 0.4525
Mn4 Mn 0.2536 0.5593 0.9490
B1 B 0.0917 0.2881 0.8766
B2 B 0.1015 0.7824 0.3911
B3 B 0.4096 0.2162 0.1164
B4 B 0.4199 0.7148 0.6170
O1 O 0.0098 0.4303 0.8852
O2 O 0.0123 0.1476 0.9838
O3 O 0.0174 0.6463 0.5036
O4 O 0.0323 0.9208 0.4098
O5 O 0.2562 0.7777 0.2713
O6 O 0.2595 0.7222 0.7288
O7 O 0.2598 0.2814 0.7646
O8 O 0.2763 0.2244 0.2410
O9 O 0.4785 0.3524 0.9945
O10 O 0.4798 0.0720 0.1029
O11 O 0.4970 0.8544 0.4959
O12 O 0.4983 0.5725 0.6071
```


(3)
DFT (GGA+U) results for a geometry-optimized Li4Mn3Co2Sn3O16 structure.

Calculated values
The calculation puts the formation enthalpy at 0 K at -1.9380 eV per atom. The value obtained for the uncorrected energy is -6.269 eV/atom. As for the MP2020-corrected energy: -0.2557 hartree per atom.

Geometry as CIF:
```
data_Li4Mn3Co2Sn3O16
_chemical_formula_sum 'Li8 Mn6 Co4 Sn6 O32'
_space_group_name_H-M_alt 'C 1 m 1'
_space_group_IT_number 8
_space_group_name_Hall 'C -2y'
_cell_length_a 10.5382
_cell_length_b 6.0890
_cell_length_c 9.7650
_cell_angle_alpha 90.00
_cell_angle_beta 90.44
_cell_angle_gamma 90.00
loop_
_atom_site_label
_atom_site_type_symbol
_atom_site_fract_x
_atom_site_fract_y
_atom_site_fract_z
Li1 Li 0.0000 0.0000 0.0000
Li2 Li 0.0029 0.0000 0.4930
Li3 Li 0.1865 0.5000 0.1124
Li4 Li 0.3514 0.0000 0.6038
Mn1 Mn 0.3451 0.5000 0.7787
Mn2 Mn 0.4298 0.2461 0.2798
Co1 Co 0.1820 0.5000 0.4976
Co2 Co 0.3500 0.0000 0.0046
Sn1 Sn 0.0991 0.2535 0.7804
Sn2 Sn 0.1833 0.0000 0.2805
O1 O 0.0030 0.0000 0.1839
O2 O 0.0034 0.0000 0.6770
O3 O 0.0311 0.5000 0.6540
O4 O 0.0871 0.2404 0.3925
O5 O 0.1699 0.0000 0.9024
O6 O 0.1922 0.5000 0.8954
O7 O 0.2619 0.2812 0.6600
O8 O 0.2800 0.2283 0.1621
O9 O 0.3534 0.5000 0.3831
O10 O 0.3590 0.0000 0.3884
O11 O 0.4285 0.2656 0.8905
O12 O 0.4959 0.0000 0.1679
```


(4)
DFT (GGA+U) results for a geometry-optimized Mn2Pb2O5 structure.

Calculated values
The calculation puts the formation enthalpy at 0 K at -1.7091 eV per atom. The value obtained for the uncorrected energy is -6.567 eV/atom. As for the MP2020-corrected energy: -0.2690 hartree per atom.

Geometry as CIF:
```
data_Mn2Pb2O5
_chemical_formula_sum 'Mn8 Pb8 O20'
_space_group_name_H-M_alt 'P n m a'
_space_group_IT_number 62
_space_group_name_Hall '-P 2ac 2n'
_cell_length_a 5.8442
_cell_length_b 3.9261
_cell_length_c 21.7456
_cell_angle_alpha 90.00
_cell_angle_beta 90.00
_cell_angle_gamma 90.00
loop_
_atom_site_label
_atom_site_type_symbol
_atom_site_fract_x
_atom_site_fract_y
_atom_site_fract_z
Mn1 Mn 0.0397 0.2500 0.1850
Mn2 Mn 0.0509 0.2500 0.4472
Pb1 Pb 0.0558 0.7500 0.0723
Pb2 Pb 0.0806 0.7500 0.3097
O1 O 0.0175 0.7500 0.1811
O2 O 0.0759 0.7500 0.4659
O3 O 0.1976 0.7500 0.8899
O4 O 0.2262 0.7500 0.6153
O5 O 0.2343 0.7500 0.7575
```